The following is a PBE+U calculation of VH8N2O5F after structural relaxation, from the Materials Project.

Cell lengths 11.506, 6.210, 8.124 Å; angles 89.67, 90.00, 90.00 degrees
Fractional positions:
O 0.216 0.186 0.259
O 0.086 0.209 0.545
O 0.087 0.186 0.967
O 0.587 0.814 0.533
O 0.367 0.407 0.465
O 0.867 0.593 0.035
O 0.784 0.814 0.741
O 0.284 0.186 0.759
O 0.358 0.420 0.032
O 0.716 0.814 0.241
O 0.586 0.791 0.955
O 0.633 0.593 0.535
O 0.858 0.580 0.468
O 0.642 0.580 0.968
O 0.413 0.186 0.467
O 0.913 0.814 0.033
O 0.914 0.791 0.455
O 0.414 0.209 0.045
O 0.133 0.407 0.965
O 0.142 0.420 0.532
V 0.256 0.201 0.959
V 0.244 0.201 0.459
V 0.744 0.799 0.041
V 0.756 0.799 0.541
H 0.025 0.739 0.223
H 0.638 0.321 0.152
H 0.390 0.910 0.228
H 0.138 0.679 0.348
H 0.862 0.321 0.652
H 0.102 0.641 0.750
H 0.002 0.777 0.635
H 0.525 0.261 0.277
H 0.975 0.261 0.777
H 0.898 0.359 0.250
H 0.161 0.816 0.169
H 0.625 0.444 0.340
H 0.498 0.777 0.135
H 0.839 0.184 0.831
H 0.339 0.816 0.669
H 0.610 0.090 0.772
H 0.375 0.556 0.660
H 0.125 0.556 0.160
H 0.602 0.359 0.750
H 0.110 0.910 0.728
H 0.362 0.679 0.848
H 0.475 0.739 0.723
H 0.875 0.444 0.840
H 0.497 0.801 0.346
H 0.997 0.199 0.154
H 0.661 0.184 0.331
H 0.503 0.199 0.654
H 0.890 0.090 0.272
H 0.003 0.801 0.846
H 0.502 0.223 0.865
H 0.998 0.223 0.365
H 0.398 0.641 0.250
N 0.945 0.219 0.259
N 0.555 0.219 0.759
N 0.888 0.303 0.772
N 0.112 0.697 0.228
N 0.055 0.781 0.741
N 0.388 0.697 0.728
N 0.612 0.303 0.272
N 0.445 0.781 0.241
F 0.256 0.892 0.003
F 0.744 0.108 0.997
F 0.756 0.108 0.497
F 0.244 0.892 0.503

Values from the calculation:
Total energy after the MP2020 corrections in eV/cell: -379.2
Space-group type: P2_1/c (14)
E_form in eV per formula unit: -15.25
Total energy in eV per cell: -367.3